[1]
# CrSO4 PBE+U relaxed
data_CrSO4
_chemical_formula_sum 'Cr4 S4 O16'
_symmetry_space_group_name_H-M 'P 1'
_symmetry_Int_Tables_number 1
_cell_length_a 8.647
_cell_length_b 7.121
_cell_length_c 4.978
_cell_angle_alpha 90.00
_cell_angle_beta 90.00
_cell_angle_gamma 90.00
loop_
_symmetry_equiv_pos_as_xyz
'x,y,z'
loop_
_atom_site_label
_atom_site_type_symbol
_atom_site_fract_x
_atom_site_fract_y
_atom_site_fract_z
Cr1 Cr 0.000 0.000 0.000
Cr2 Cr 0.000 0.500 0.000
Cr3 Cr 0.500 0.000 0.500
Cr4 Cr 0.500 0.500 0.500
S1 S 0.182 0.250 0.465
S2 S 0.318 0.750 0.965
S3 S 0.682 0.250 0.035
S4 S 0.818 0.750 0.535
O1 O 0.130 0.077 0.328
O2 O 0.130 0.423 0.328
O3 O 0.133 0.250 0.748
O4 O 0.141 0.750 0.954
O5 O 0.359 0.250 0.454
O6 O 0.367 0.750 0.248
O7 O 0.370 0.577 0.828
O8 O 0.370 0.923 0.828
O9 O 0.630 0.077 0.172
O10 O 0.630 0.423 0.172
O11 O 0.633 0.250 0.752
O12 O 0.641 0.750 0.546
O13 O 0.859 0.250 0.046
O14 O 0.867 0.750 0.252
O15 O 0.870 0.577 0.672
O16 O 0.870 0.923 0.672
# **M_tot**: 16.00 Bohr magnetons per cell
# **Relative energy among the computed polymorphs**: 0.0 kJ/mol of atoms
# **Calculated formation energy**: -1983 meV/atom
# **Crystal system**: orthorhombic

***

[2]
# Cr2S3O12 PBE+U relaxed
data_Cr2S3O12
_chemical_formula_sum 'Cr4 S6 O24'
_symmetry_space_group_name_H-M 'P 1'
_symmetry_Int_Tables_number 1
_cell_length_a 8.869
_cell_length_b 8.869
_cell_length_c 8.869
_cell_angle_alpha 55.68
_cell_angle_beta 55.68
_cell_angle_gamma 55.68
loop_
_symmetry_equiv_pos_as_xyz
'x,y,z'
loop_
_atom_site_label
_atom_site_type_symbol
_atom_site_fract_x
_atom_site_fract_y
_atom_site_fract_z
Cr1 Cr 0.145 0.145 0.145
Cr2 Cr 0.348 0.348 0.348
Cr3 Cr 0.652 0.652 0.652
Cr4 Cr 0.855 0.855 0.855
S1 S 0.038 0.459 0.752
S2 S 0.248 0.962 0.541
S3 S 0.459 0.752 0.038
S4 S 0.541 0.248 0.962
S5 S 0.752 0.038 0.459
S6 S 0.962 0.541 0.248
O1 O 0.015 0.610 0.797
O2 O 0.116 0.877 0.738
O3 O 0.123 0.262 0.884
O4 O 0.154 0.525 0.215
O5 O 0.173 0.483 0.546
O6 O 0.203 0.985 0.390
O7 O 0.215 0.154 0.525
O8 O 0.262 0.884 0.123
O9 O 0.390 0.203 0.985
O10 O 0.454 0.827 0.517
O11 O 0.475 0.785 0.846
O12 O 0.483 0.546 0.173
O13 O 0.517 0.454 0.827
O14 O 0.525 0.215 0.154
O15 O 0.546 0.173 0.483
O16 O 0.610 0.797 0.015
O17 O 0.738 0.116 0.877
O18 O 0.785 0.846 0.475
O19 O 0.797 0.015 0.610
O20 O 0.827 0.517 0.454
O21 O 0.846 0.475 0.785
O22 O 0.877 0.738 0.116
O23 O 0.884 0.123 0.262
O24 O 0.985 0.390 0.203
# **Relative energy among the computed polymorphs**: 0.0 kJ/mol of atoms
# **Calculated formation energy**: -2014 meV/atom
# **Crystal system**: trigonal

***

[3]
# CrS2O8 PBE+U relaxed
data_CrS2O8
_chemical_formula_sum 'Cr3 S6 O24'
_symmetry_space_group_name_H-M 'P 1'
_symmetry_Int_Tables_number 1
_cell_length_a 8.837
_cell_length_b 8.837
_cell_length_c 8.837
_cell_angle_alpha 55.97
_cell_angle_beta 55.97
_cell_angle_gamma 55.97
loop_
_symmetry_equiv_pos_as_xyz
'x,y,z'
loop_
_atom_site_label
_atom_site_type_symbol
_atom_site_fract_x
_atom_site_fract_y
_atom_site_fract_z
Cr1 Cr 0.000 0.000 0.000
Cr2 Cr 0.207 0.207 0.207
Cr3 Cr 0.506 0.506 0.506
S1 S 0.105 0.816 0.401
S2 S 0.316 0.610 0.894
S3 S 0.401 0.105 0.816
S4 S 0.610 0.894 0.316
S5 S 0.816 0.401 0.105
S6 S 0.894 0.316 0.610
O1 O 0.012 0.377 0.075
O2 O 0.029 0.338 0.402
O3 O 0.060 0.843 0.247
O4 O 0.075 0.012 0.377
O5 O 0.114 0.739 0.978
O6 O 0.247 0.060 0.843
O7 O 0.317 0.686 0.364
O8 O 0.330 0.639 0.703
O9 O 0.338 0.402 0.029
O10 O 0.364 0.317 0.686
O11 O 0.377 0.075 0.012
O12 O 0.402 0.029 0.338
O13 O 0.468 0.653 0.867
O14 O 0.597 0.978 0.734
O15 O 0.639 0.703 0.330
O16 O 0.653 0.867 0.468
O17 O 0.686 0.364 0.317
O18 O 0.703 0.330 0.639
O19 O 0.734 0.597 0.978
O20 O 0.739 0.978 0.114
O21 O 0.843 0.247 0.060
O22 O 0.867 0.468 0.653
O23 O 0.978 0.114 0.739
O24 O 0.978 0.734 0.597
# **M_tot**: 6.00 Bohr magnetons per cell
# **Relative energy among the computed polymorphs**: 0.6 kJ/mol of atoms
# **Calculated formation energy**: -1779 meV/atom
# **Crystal system**: trigonal

***

[4]
# CrSO6 PBE+U relaxed
data_CrSO6
_chemical_formula_sum 'Cr6 S6 O36'
_symmetry_space_group_name_H-M 'P 1'
_symmetry_Int_Tables_number 1
_cell_length_a 7.201
_cell_length_b 7.201
_cell_length_c 14.084
_cell_angle_alpha 94.36
_cell_angle_beta 94.36
_cell_angle_gamma 60.12
loop_
_symmetry_equiv_pos_as_xyz
'x,y,z'
loop_
_atom_site_label
_atom_site_type_symbol
_atom_site_fract_x
_atom_site_fract_y
_atom_site_fract_z
Cr1 Cr 0.057 0.943 0.500
Cr2 Cr 0.189 0.563 0.114
Cr3 Cr 0.563 0.189 0.614
Cr4 Cr 0.725 0.872 0.809
Cr5 Cr 0.872 0.725 0.309
Cr6 Cr 0.943 0.057 0.000
S1 S 0.027 0.263 0.194
S2 S 0.263 0.027 0.694
S3 S 0.373 0.449 0.416
S4 S 0.449 0.373 0.916
S5 S 0.689 0.803 0.026
S6 S 0.803 0.689 0.526
O1 O 0.000 0.703 0.550
O2 O 0.000 0.724 0.210
O3 O 0.071 0.136 0.746
O4 O 0.091 0.126 0.953
O5 O 0.125 0.826 0.052
O6 O 0.126 0.091 0.453
O7 O 0.136 0.071 0.246
O8 O 0.187 0.306 0.150
O9 O 0.189 0.464 0.356
O10 O 0.238 0.884 0.613
O11 O 0.306 0.187 0.650
O12 O 0.311 0.394 0.996
O13 O 0.329 0.666 0.455
O14 O 0.345 0.567 0.863
O15 O 0.394 0.311 0.496
O16 O 0.412 0.512 0.165
O17 O 0.458 0.870 0.749
O18 O 0.464 0.189 0.856
O19 O 0.512 0.412 0.665
O20 O 0.541 0.789 0.085
O21 O 0.567 0.345 0.363
O22 O 0.608 0.906 0.533
O23 O 0.610 0.808 0.922
O24 O 0.626 0.873 0.282
O25 O 0.666 0.329 0.955
O26 O 0.703 0.000 0.050
O27 O 0.724 0.000 0.710
O28 O 0.789 0.541 0.585
O29 O 0.808 0.610 0.422
O30 O 0.826 0.125 0.552
O31 O 0.870 0.458 0.249
O32 O 0.873 0.626 0.782
O33 O 0.884 0.238 0.113
O34 O 0.888 0.926 0.888
O35 O 0.906 0.608 0.033
O36 O 0.926 0.888 0.388
# **M_tot**: 0.00 Bohr magnetons per cell
# **Calculated formation energy**: -1527 meV/atom
# **Crystal system**: monoclinic

***

[5]
# CrS2O8 PBE+U relaxed
data_CrS2O8
_chemical_formula_sum 'Cr3 S6 O24'
_symmetry_space_group_name_H-M 'P 1'
_symmetry_Int_Tables_number 1
_cell_length_a 8.897
_cell_length_b 8.897
_cell_length_c 8.897
_cell_angle_alpha 56.00
_cell_angle_beta 56.00
_cell_angle_gamma 56.00
loop_
_symmetry_equiv_pos_as_xyz
'x,y,z'
loop_
_atom_site_label
_atom_site_type_symbol
_atom_site_fract_x
_atom_site_fract_y
_atom_site_fract_z
Cr1 Cr 0.000 0.000 0.000
Cr2 Cr 0.205 0.205 0.205
Cr3 Cr 0.710 0.710 0.710
S1 S 0.100 0.393 0.824
S2 S 0.315 0.891 0.609
S3 S 0.393 0.824 0.100
S4 S 0.609 0.315 0.891
S5 S 0.824 0.100 0.393
S6 S 0.891 0.609 0.315
O1 O 0.016 0.068 0.377
O2 O 0.033 0.407 0.333
O3 O 0.036 0.248 0.856
O4 O 0.068 0.377 0.016
O5 O 0.117 0.981 0.742
O6 O 0.248 0.856 0.036
O7 O 0.300 0.356 0.693
O8 O 0.322 0.707 0.642
O9 O 0.333 0.033 0.407
O10 O 0.356 0.693 0.300
O11 O 0.377 0.016 0.068
O12 O 0.407 0.333 0.033
O13 O 0.466 0.871 0.651
O14 O 0.587 0.745 0.964
O15 O 0.642 0.322 0.707
O16 O 0.651 0.466 0.871
O17 O 0.693 0.300 0.356
O18 O 0.707 0.642 0.322
O19 O 0.742 0.117 0.981
O20 O 0.745 0.964 0.587
O21 O 0.856 0.036 0.248
O22 O 0.871 0.651 0.466
O23 O 0.964 0.587 0.745
O24 O 0.981 0.742 0.117
# **M_tot**: 6.00 Bohr magnetons per cell
# **Relative energy among the computed polymorphs**: 0.1 kJ/mol of atoms
# **Calculated formation energy**: -1784 meV/atom
# **Crystal system**: trigonal

***

[6]
# Sr3Cr2S2O5 PBE+U relaxed
data_Sr3Cr2S2O5
_chemical_formula_sum 'Sr3 Cr2 S2 O5'
_symmetry_space_group_name_H-M 'P 1'
_symmetry_Int_Tables_number 1
_cell_length_a 11.732
_cell_length_b 11.732
_cell_length_c 11.732
_cell_angle_alpha 160.27
_cell_angle_beta 160.27
_cell_angle_gamma 28.05
loop_
_symmetry_equiv_pos_as_xyz
'x,y,z'
loop_
_atom_site_label
_atom_site_type_symbol
_atom_site_fract_x
_atom_site_fract_y
_atom_site_fract_z
Sr1 Sr 0.000 0.000 0.000
Sr2 Sr 0.161 0.161 0.000
Sr3 Sr 0.839 0.839 0.000
Cr1 Cr 0.416 0.416 0.000
Cr2 Cr 0.584 0.584 0.000
S1 S 0.306 0.306 0.000
S2 S 0.694 0.694 0.000
O1 O 0.085 0.585 0.500
O2 O 0.415 0.915 0.500
O3 O 0.500 0.500 0.000
O4 O 0.585 0.085 0.500
O5 O 0.915 0.415 0.500
# **M_tot**: 3.99 Bohr magnetons per cell
# **Relative energy among the computed polymorphs**: 1.5 kJ/mol of atoms
# **Calculated formation energy**: -2314 meV/atom
# **Crystal system**: tetragonal

***

[7]
# Sr3Cr2S2O5 PBE+U relaxed
data_Sr3Cr2S2O5
_chemical_formula_sum 'Sr3 Cr2 S2 O5'
_symmetry_space_group_name_H-M 'P 1'
_symmetry_Int_Tables_number 1
_cell_length_a 11.659
_cell_length_b 11.659
_cell_length_c 11.659
_cell_angle_alpha 160.63
_cell_angle_beta 159.73
_cell_angle_gamma 28.18
loop_
_symmetry_equiv_pos_as_xyz
'x,y,z'
loop_
_atom_site_label
_atom_site_type_symbol
_atom_site_fract_x
_atom_site_fract_y
_atom_site_fract_z
Sr1 Sr 0.000 0.000 0.000
Sr2 Sr 0.163 0.163 0.000
Sr3 Sr 0.837 0.837 0.000
Cr1 Cr 0.416 0.416 0.000
Cr2 Cr 0.584 0.584 0.000
S1 S 0.306 0.306 0.000
S2 S 0.694 0.694 0.000
O1 O 0.085 0.585 0.500
O2 O 0.415 0.915 0.500
O3 O 0.500 0.500 0.000
O4 O 0.585 0.085 0.500
O5 O 0.915 0.415 0.500
# **M_tot**: 4.01 Bohr magnetons per cell
# **Relative energy among the computed polymorphs**: 0.0 kJ/mol of atoms
# **Calculated formation energy**: -2330 meV/atom
# **Crystal system**: orthorhombic

***

[8]
# Sr2CrSO3 PBE+U relaxed
data_Sr2CrSO3
_chemical_formula_sum 'Sr4 Cr2 S2 O6'
_symmetry_space_group_name_H-M 'P 1'
_symmetry_Int_Tables_number 1
_cell_length_a 3.993
_cell_length_b 3.993
_cell_length_c 14.669
_cell_angle_alpha 90.00
_cell_angle_beta 90.00
_cell_angle_gamma 90.00
loop_
_symmetry_equiv_pos_as_xyz
'x,y,z'
loop_
_atom_site_label
_atom_site_type_symbol
_atom_site_fract_x
_atom_site_fract_y
_atom_site_fract_z
Sr1 Sr 0.250 0.250 0.092
Sr2 Sr 0.250 0.250 0.335
Sr3 Sr 0.750 0.750 0.665
Sr4 Sr 0.750 0.750 0.908
Cr1 Cr 0.250 0.250 0.793
Cr2 Cr 0.750 0.750 0.207
S1 S 0.250 0.250 0.620
S2 S 0.750 0.750 0.380
O1 O 0.250 0.250 0.923
O2 O 0.250 0.750 0.210
O3 O 0.250 0.750 0.790
O4 O 0.750 0.250 0.210
O5 O 0.750 0.250 0.790
O6 O 0.750 0.750 0.077
# **M_tot**: 4.01 Bohr magnetons per cell
# **Calculated formation energy**: -2431 meV/atom
# **Crystal system**: tetragonal

***

[9]
# CrSb2O6 PBE+U relaxed
data_CrSb2O6
_chemical_formula_sum 'Cr1 Sb2 O6'
_symmetry_space_group_name_H-M 'P 1'
_symmetry_Int_Tables_number 1
_cell_length_a 5.317
_cell_length_b 5.317
_cell_length_c 4.703
_cell_angle_alpha 91.68
_cell_angle_beta 91.68
_cell_angle_gamma 121.09
loop_
_symmetry_equiv_pos_as_xyz
'x,y,z'
loop_
_atom_site_label
_atom_site_type_symbol
_atom_site_fract_x
_atom_site_fract_y
_atom_site_fract_z
Cr1 Cr 0.000 0.000 0.000
Sb1 Sb 0.333 0.667 0.500
Sb2 Sb 0.667 0.333 0.500
O1 O 0.011 0.368 0.732
O2 O 0.345 0.345 0.266
O3 O 0.368 0.011 0.732
O4 O 0.632 0.989 0.268
O5 O 0.655 0.655 0.734
O6 O 0.989 0.632 0.268
# **M_tot**: 4.00 Bohr magnetons per cell
# **Relative energy among the computed polymorphs**: 5.6 kJ/mol of atoms
# **Calculated formation energy**: -1905 meV/atom
# **Crystal system**: monoclinic

***

[10]
# CrSbO4 PBE+U relaxed
data_CrSbO4
_chemical_formula_sum 'Cr2 Sb2 O8'
_symmetry_space_group_name_H-M 'P 1'
_symmetry_Int_Tables_number 1
_cell_length_a 6.140
_cell_length_b 6.140
_cell_length_c 6.140
_cell_angle_alpha 120.77
_cell_angle_beta 118.71
_cell_angle_gamma 90.46
loop_
_symmetry_equiv_pos_as_xyz
'x,y,z'
loop_
_atom_site_label
_atom_site_type_symbol
_atom_site_fract_x
_atom_site_fract_y
_atom_site_fract_z
Cr1 Cr 0.500 0.000 0.000
Cr2 Cr 0.500 0.500 0.500
Sb1 Sb 0.000 0.000 0.000
Sb2 Sb 0.500 0.000 0.500
O1 O 0.261 0.234 0.473
O2 O 0.261 0.787 0.027
O3 O 0.264 0.229 0.035
O4 O 0.306 0.771 0.535
O5 O 0.694 0.229 0.465
O6 O 0.736 0.771 0.965
O7 O 0.739 0.213 0.973
O8 O 0.739 0.766 0.527
# **M_tot**: 6.00 Bohr magnetons per cell
# **Calculated formation energy**: -1976 meV/atom
# **Crystal system**: orthorhombic

***

[11]
# Cr3Sb5O16 PBE+U relaxed
data_Cr3Sb5O16
_chemical_formula_sum 'Cr3 Sb5 O16'
_symmetry_space_group_name_H-M 'P 1'
_symmetry_Int_Tables_number 1
_cell_length_a 6.152
_cell_length_b 6.152
_cell_length_c 9.905
_cell_angle_alpha 90.15
_cell_angle_beta 90.15
_cell_angle_gamma 60.14
loop_
_symmetry_equiv_pos_as_xyz
'x,y,z'
loop_
_atom_site_label
_atom_site_type_symbol
_atom_site_fract_x
_atom_site_fract_y
_atom_site_fract_z
Cr1 Cr 0.000 0.000 0.000
Cr2 Cr 0.176 0.665 0.470
Cr3 Cr 0.665 0.176 0.470
Sb1 Sb 0.000 0.506 0.001
Sb2 Sb 0.160 0.160 0.270
Sb3 Sb 0.487 0.487 0.737
Sb4 Sb 0.506 0.000 0.001
Sb5 Sb 0.666 0.666 0.474
O1 O 0.000 0.496 0.365
O2 O 0.001 0.001 0.365
O3 O 0.147 0.673 0.900
O4 O 0.171 0.171 0.897
O5 O 0.313 0.313 0.128
O6 O 0.314 0.884 0.122
O7 O 0.354 0.354 0.583
O8 O 0.356 0.794 0.591
O9 O 0.496 0.000 0.365
O10 O 0.505 0.505 0.370
O11 O 0.671 0.671 0.903
O12 O 0.673 0.147 0.900
O13 O 0.794 0.356 0.591
O14 O 0.834 0.834 0.560
O15 O 0.836 0.836 0.108
O16 O 0.884 0.314 0.122
# **M_tot**: 9.00 Bohr magnetons per cell
# **Calculated formation energy**: -1923 meV/atom
# **Crystal system**: monoclinic

***

[12]
# Cr5Sb3O16 PBE+U relaxed
data_Cr5Sb3O16
_chemical_formula_sum 'Cr5 Sb3 O16'
_symmetry_space_group_name_H-M 'P 1'
_symmetry_Int_Tables_number 1
_cell_length_a 6.064
_cell_length_b 6.064
_cell_length_c 9.079
_cell_angle_alpha 90.15
_cell_angle_beta 90.15
_cell_angle_gamma 60.31
loop_
_symmetry_equiv_pos_as_xyz
'x,y,z'
loop_
_atom_site_label
_atom_site_type_symbol
_atom_site_fract_x
_atom_site_fract_y
_atom_site_fract_z
Cr1 Cr 0.000 0.000 0.000
Cr2 Cr 0.175 0.674 0.723
Cr3 Cr 0.510 0.510 0.226
Cr4 Cr 0.671 0.671 0.507
Cr5 Cr 0.674 0.175 0.723
Sb1 Sb 0.007 0.510 0.228
Sb2 Sb 0.173 0.173 0.728
Sb3 Sb 0.510 0.007 0.228
O1 O 0.006 0.513 0.621
O2 O 0.009 0.009 0.612
O3 O 0.170 0.673 0.120
O4 O 0.174 0.174 0.118
O5 O 0.289 0.861 0.857
O6 O 0.341 0.341 0.829
O7 O 0.342 0.342 0.338
O8 O 0.389 0.819 0.355
O9 O 0.510 0.510 0.628
O10 O 0.513 0.006 0.621
O11 O 0.673 0.170 0.120
O12 O 0.677 0.677 0.109
O13 O 0.819 0.389 0.355
O14 O 0.820 0.820 0.362
O15 O 0.861 0.289 0.857
O16 O 0.870 0.870 0.845
# **M_tot**: 13.00 Bohr magnetons per cell
# **Calculated formation energy**: -1991 meV/atom
# **Crystal system**: monoclinic

***

Number 8 is which compound? Sr2CrSO3